[1]
Density functional theory data (GGA+U) for an optimized crystal structure of Li6MnO4F.

The structure in extended XYZ format:
```
48
Lattice="-4.7862 -2.5798 0.0003 4.6142 -7.4236 -0.0001 -0.0865 -5.0019 9.5058" Properties=species:S:1:pos:R:3 pbc="T T T"
Li 1.7632 -8.1922 7.0959
Li -2.9372 -5.7696 7.0966
Li 2.6791 -9.2358 2.3443
Li -2.0214 -6.8137 2.3444
Li 1.6433 -6.8475 2.3006
Li -3.0571 -4.4252 2.3010
Li 2.7996 -10.5800 7.0532
Li -1.9014 -8.1581 7.0539
Li -2.4658 -2.3751 0.0103
Li 2.2339 -4.7973 0.0098
Li 2.2945 -7.6277 4.7628
Li -2.4059 -5.2056 4.7630
Li 2.0009 -10.0358 4.7972
Li -2.6990 -7.6139 4.7980
Li 2.4402 -7.3906 0.0441
Li -2.2598 -4.9688 0.0442
Li -0.0656 -6.1640 4.2862
Li -0.1521 -11.1663 4.2860
Li -0.2775 -13.8460 9.0391
Li -0.1918 -8.8431 9.0393
Li -0.0604 -1.7123 0.5614
Li -0.1468 -6.7147 0.5608
Li -0.1123 -8.2919 5.3142
Li -0.0261 -3.2903 5.3144
Mn -0.2321 -11.0008 7.0412
Mn -0.1130 -9.0057 2.2897
Mn -0.1452 -6.0009 7.0416
Mn -0.0262 -4.0056 2.2876
O 1.1568 -8.7420 3.6997
O -3.5437 -6.3209 3.6997
O -1.5028 -11.2635 8.4511
O -1.4165 -6.2618 8.4518
O 1.1702 -8.4155 0.9573
O 1.2570 -3.4131 0.9567
O 3.2724 -9.0118 5.7087
O -1.4275 -6.5896 5.7089
O 1.2915 -6.4332 5.8417
O 1.2051 -11.4340 5.8414
O -1.4616 -3.5704 1.0864
O 3.2384 -5.9921 1.0867
O -0.2780 -11.0565 2.3916
O -0.1921 -6.0554 2.3913
O -0.0665 -8.9492 7.1446
O 0.0198 -3.9488 7.1441
F -3.4005 -8.7509 8.5506
F 1.2985 -11.1731 8.5503
F -1.5613 -3.8308 3.7944
F -1.6470 -8.8323 3.7949
```

---

[2]
Density functional theory data (GGA+U) for an optimized crystal structure of YCoO3.

The structure in extended XYZ format:
```
5
Lattice="3.7858 0.0000 0.0000 0.0000 3.7858 0.0000 0.0000 0.0000 3.7858" Properties=species:S:1:pos:R:3 pbc="T T T"
Y 0.0000 0.0000 0.0000
Co 1.8929 1.8929 1.8929
O 0.0000 1.8929 1.8929
O 1.8929 0.0000 1.8929
O 1.8929 1.8929 0.0000
```

## Properties
SG: Pm-3m, No. 221

---

[3]
Density functional theory data (GGA+U) for an optimized crystal structure of Li3Nb4VO12.

The structure in extended XYZ format:
```
20
Lattice="5.2297 0.0000 0.0000 -0.0210 5.6472 0.0000 -0.0030 -0.7509 7.6312" Properties=species:S:1:pos:R:3 pbc="T T T"
Li 0.0000 0.0000 0.0000
Li -0.0066 5.2509 3.8540
Li 2.5989 2.4403 3.8615
Nb 0.0101 2.6438 5.4169
Nb 2.5964 0.2312 1.7071
Nb 2.6504 -0.1853 5.4658
Nb 5.1986 3.1059 1.6507
V 2.5976 2.6107 0.1599
O 0.6916 2.6928 7.2916
O 0.9061 4.9232 2.0140
O 1.0164 1.1391 4.8464
O 1.5678 3.9609 4.8852
O 1.6761 2.1083 2.0327
O 1.9061 -0.1028 7.3072
O 3.2788 0.2279 3.5173
O 3.5308 1.7779 5.8872
O 3.5689 4.2940 1.0211
O 4.2090 1.4808 1.0233
O 4.2666 4.5787 5.8391
O 4.5562 3.0510 3.5002
```

## Properties
SG: P1, No. 1

---

Number 1: total DFT energy (no corrections) -5.31 eV/atom, energy of formation -2194 meV per atom. Number 2: total DFT energy (no corrections) -7.32 eV/atom, energy of formation -2374 meV per atom. Number 3: total DFT energy (no corrections) -8.04 eV/atom, energy of formation -2811 meV per atom.